No. 1
Ce2TiO5 | the Materials Project database | PBE-GGA | optimized geometry; SG = No. 15; total energy = -140.43 eV per cell; calculated volume = 14.31 Å³ per atom; ΔH_f (0 K) = -3.644 eV/atom
1.0
2.671 6.150 0.000
-2.671 6.150 0.000
0.000 3.256 6.968
Ce Ti O
4 2 10
direct
0.665 0.617 0.732 Ce
0.617 0.665 0.232 Ce
0.383 0.335 0.768 Ce
0.335 0.383 0.268 Ce
0.000 0.000 0.500 Ti
0.000 0.000 0.000 Ti
0.988 0.679 0.639 O
0.679 0.988 0.139 O
0.389 0.752 0.541 O
0.847 0.153 0.750 O
0.248 0.611 0.959 O
0.752 0.389 0.041 O
0.153 0.847 0.250 O
0.611 0.248 0.459 O
0.321 0.012 0.861 O
0.012 0.321 0.361 O

=====

No. 2
PmCdCu2 | the Materials Project database | PBE-GGA | optimized geometry; SG = No. 225; total energy = -14.61 eV per cell; calculated volume = 19.43 Å³ per atom; ΔH_f (0 K) = -0.185 eV/atom
1.0
3.444 -3.189 -0.957
-0.931 -4.690 0.289
-0.227 -2.647 -3.986
Pm Cd Cu
1 1 2
direct
0.000 0.000 0.000 Pm
0.500 0.500 0.500 Cd
0.750 0.750 0.750 Cu
0.250 0.250 0.250 Cu

=====

Which of these has the highest calculated volume?
PmCdCu2

=====

calculated volume of number 1 (Ce2TiO5)?
14.31 Å³ per atom

=====

What is the formula in the second record?
PmCdCu2